No. 1
First-principles (PBE with a Hubbard U) data for Li4V3P8O29 after structural relaxation, as listed in the Materials Project database.

CIF file:
```
data_Li4V3P8O29
_chemical_formula_sum 'Li8 V6 P16 O58'
_cell_length_a 9.767
_cell_length_b 9.777
_cell_length_c 14.313
_cell_angle_alpha 89.32
_cell_angle_beta 89.58
_cell_angle_gamma 60.33
_space_group_name_H-M_alt 'P 1'
_space_group_IT_number 1
loop_
_space_group_symop_operation_xyz
'x,y,z'
loop_
_atom_site_label
_atom_site_type_symbol
_atom_site_fract_x
_atom_site_fract_y
_atom_site_fract_z
Li1 Li 0.000 0.000 0.000
Li2 Li 0.003 0.448 0.514
Li3 Li 0.040 0.698 0.057
Li4 Li 0.189 0.343 0.120
Li5 Li 0.318 0.362 0.623
Li6 Li 0.408 0.587 0.501
Li7 Li 0.431 0.434 0.008
Li8 Li 0.867 0.981 0.504
V1 V 0.092 0.235 0.312
V2 V 0.096 0.102 0.814
V3 V 0.530 0.673 0.308
V4 V 0.535 0.233 0.814
V5 V 0.660 0.098 0.311
V6 V 0.662 0.667 0.815
P1 P 0.006 0.441 0.728
P2 P 0.008 0.983 0.219
P3 P 0.182 0.895 0.399
P4 P 0.185 0.353 0.907
P5 P 0.318 0.750 0.900
P6 P 0.324 0.348 0.405
P7 P 0.412 0.441 0.225
P8 P 0.413 0.582 0.719
P9 P 0.422 0.011 0.195
P10 P 0.429 0.003 0.698
P11 P 0.759 0.334 0.430
P12 P 0.759 0.337 0.932
P13 P 0.783 0.751 0.402
P14 P 0.789 0.889 0.898
P15 P 0.867 0.989 0.719
P16 P 0.874 0.588 0.219
O1 O 0.008 0.140 0.234
O2 O 0.011 0.011 0.732
O3 O 0.014 0.412 0.230
O4 O 0.069 0.909 0.126
O5 O 0.084 0.907 0.481
O6 O 0.093 0.433 0.639
O7 O 0.100 0.462 0.815
O8 O 0.108 0.869 0.303
O9 O 0.113 0.440 0.995
O10 O 0.175 0.330 0.406
O11 O 0.180 0.921 0.902
O12 O 0.182 0.200 0.894
O13 O 0.190 0.049 0.381
O14 O 0.277 0.165 0.239
O15 O 0.282 0.006 0.741
O16 O 0.296 0.680 0.802
O17 O 0.302 0.459 0.315
O18 O 0.307 0.656 0.980
O19 O 0.330 0.438 0.138
O20 O 0.335 0.426 0.492
O21 O 0.345 0.652 0.626
O22 O 0.350 0.752 0.400
O23 O 0.358 0.323 0.900
O24 O 0.415 0.037 0.092
O25 O 0.419 0.867 0.234
O26 O 0.431 0.014 0.595
O27 O 0.433 0.413 0.728
O28 O 0.434 0.152 0.742
O29 O 0.440 0.581 0.230
O30 O 0.475 0.189 0.387
O31 O 0.478 0.747 0.891
O32 O 0.569 0.285 0.240
O33 O 0.572 0.575 0.740
O34 O 0.573 0.853 0.744
O35 O 0.574 0.006 0.240
O36 O 0.605 0.345 0.888
O37 O 0.611 0.483 0.392
O38 O 0.623 0.760 0.384
O39 O 0.633 0.050 0.891
O40 O 0.715 0.150 0.744
O41 O 0.717 0.591 0.229
O42 O 0.737 0.345 0.036
O43 O 0.750 0.754 0.898
O44 O 0.755 0.924 0.401
O45 O 0.758 0.184 0.391
O46 O 0.766 0.480 0.886
O47 O 0.776 0.327 0.533
O48 O 0.838 0.012 0.235
O49 O 0.840 0.587 0.732
O50 O 0.852 0.929 0.628
O51 O 0.866 0.663 0.488
O52 O 0.881 0.869 0.802
O53 O 0.891 0.673 0.312
O54 O 0.892 0.878 0.978
O55 O 0.904 0.659 0.136
O56 O 0.906 0.182 0.900
O57 O 0.910 0.333 0.383
O58 O 0.995 0.292 0.745
```

## Properties
E_tot = -7.044 eV per atom
Energy of formation = -2.574 eV/atom

***

No. 2
First-principles (PBE with a Hubbard U) data for La5Sm3Cr6Fe2O24 after structural relaxation, as listed in the Materials Project database.

CIF file:
```
data_La5Sm3Cr6Fe2O24
_chemical_formula_sum 'La10 Sm6 Cr12 Fe4 O48'
_cell_length_a 7.839
_cell_length_b 11.088
_cell_length_c 11.090
_cell_angle_alpha 90.00
_cell_angle_beta 90.00
_cell_angle_gamma 90.00
_space_group_name_H-M_alt 'A m m 2'
_space_group_IT_number 38
loop_
_space_group_symop_operation_xyz
'x,y,z'
'-x,-y,z'
'-x,y,z'
'x,-y,z'
'x,y+1/2,z+1/2'
'-x,-y+1/2,z+1/2'
'-x,y+1/2,z+1/2'
'x,-y+1/2,z+1/2'
loop_
_atom_site_label
_atom_site_type_symbol
_atom_site_fract_x
_atom_site_fract_y
_atom_site_fract_z
La1 La 0.000 0.000 0.000
La2 La 0.000 0.000 0.499
La3 La 0.000 0.249 0.249
La4 La 0.500 0.000 0.000
Sm1 Sm 0.500 0.000 0.499
Sm2 Sm 0.500 0.249 0.249
Cr1 Cr 0.251 0.000 0.250
Cr2 Cr 0.251 0.250 0.499
Fe1 Fe 0.251 0.000 0.749
O1 O 0.000 0.000 0.250
O2 O 0.000 0.000 0.749
O3 O 0.000 0.250 0.499
O4 O 0.252 0.126 0.125
O5 O 0.252 0.126 0.874
O6 O 0.253 0.125 0.624
O7 O 0.254 0.125 0.374
O8 O 0.500 0.000 0.251
O9 O 0.500 0.000 0.748
O10 O 0.500 0.248 0.499
```

## Properties
E_tot = -7.961 eV per atom
Energy of formation = -2.974 eV/atom

***

No. 3
First-principles (PBE with a Hubbard U) data for LiFeF4 after structural relaxation, as listed in the Materials Project database.

CIF file:
```
data_LiFeF4
_chemical_formula_sum 'Li4 Fe4 F16'
_cell_length_a 5.977
_cell_length_b 8.273
_cell_length_c 6.314
_cell_angle_alpha 90.00
_cell_angle_beta 90.00
_cell_angle_gamma 90.00
_space_group_name_H-M_alt 'C m c m'
_space_group_IT_number 63
_space_group_name_Hall '-C 2c 2'
loop_
_atom_site_label
_atom_site_type_symbol
_atom_site_fract_x
_atom_site_fract_y
_atom_site_fract_z
Li1 Li 0.000 0.137 0.250
Fe1 Fe 0.000 0.500 0.000
F1 F 0.000 0.275 0.018
F2 F 0.219 0.487 0.750
```

## Properties
E_tot = -5.087 eV per atom
Energy of formation = -2.765 eV/atom

***

No. 4
First-principles (PBE with a Hubbard U) data for LiFe2OF5 after structural relaxation, as listed in the Materials Project database.

CIF file:
```
data_LiFe2OF5
_chemical_formula_sum 'Li8 Fe16 O8 F40'
_cell_length_a 6.697
_cell_length_b 6.697
_cell_length_c 18.448
_cell_angle_alpha 90.00
_cell_angle_beta 90.08
_cell_angle_gamma 90.00
_space_group_name_H-M_alt 'C 1 c 1'
_space_group_IT_number 9
loop_
_space_group_symop_operation_xyz
'x,y,z'
'x,-y,z+1/2'
'x+1/2,y+1/2,z'
'x+1/2,-y+1/2,z+1/2'
loop_
_atom_site_label
_atom_site_type_symbol
_atom_site_fract_x
_atom_site_fract_y
_atom_site_fract_z
Li1 Li 0.000 0.004 0.000
Li2 Li 0.000 0.496 0.250
Fe1 Fe 0.004 0.012 0.841
Fe2 Fe 0.005 0.478 0.918
Fe3 Fe 0.026 0.002 0.168
Fe4 Fe 0.492 0.002 0.091
O1 O 0.003 0.200 0.915
O2 O 0.304 0.000 0.165
F1 F 0.003 0.186 0.254
F2 F 0.003 0.192 0.752
F3 F 0.003 0.198 0.586
F4 F 0.003 0.201 0.086
F5 F 0.003 0.210 0.414
F6 F 0.189 0.498 0.504
F7 F 0.202 0.500 0.336
F8 F 0.214 0.500 0.164
F9 F 0.304 0.001 0.836
F10 F 0.312 0.002 0.002
```

## Properties
E_tot = -5.412 eV per atom
Energy of formation = -2.538 eV/atom

***

No. 5
First-principles (PBE with a Hubbard U) data for TiVO3 after structural relaxation, as listed in the Materials Project database.

CIF file:
```
data_TiVO3
_chemical_formula_sum 'Ti6 V6 O18'
_cell_length_a 5.1485
_cell_length_b 5.1485
_cell_length_c 14.1573
_cell_angle_alpha 90.00
_cell_angle_beta 90.00
_cell_angle_gamma 120.00
_space_group_name_H-M_alt 'R 3 c'
_space_group_IT_number 161
_space_group_name_Hall 'R 3 -2"c'
loop_
_atom_site_label
_atom_site_type_symbol
_atom_site_fract_x
_atom_site_fract_y
_atom_site_fract_z
Ti1 Ti 0.0000 0.0000 0.0000
V1 V 0.0000 0.0000 0.2030
O1 O 0.0092 0.3709 0.2706
```

## Properties
E_tot = -8.593 eV per atom
Largest piezoelectric modulus = 3.33 C/m2
Energy of formation = -2.981 eV/atom

***

No. 6
First-principles (PBE with a Hubbard U) data for Li4FeTe2WO12 after structural relaxation, as listed in the Materials Project database.

CIF file:
```
data_Li4FeTe2WO12
_chemical_formula_sum 'Li4 Fe1 Te2 W1 O12'
_cell_length_a 5.207
_cell_length_b 5.489
_cell_length_c 7.546
_cell_angle_alpha 94.24
_cell_angle_beta 90.11
_cell_angle_gamma 90.08
_space_group_name_H-M_alt 'P 1'
_space_group_IT_number 1
loop_
_space_group_symop_operation_xyz
'x,y,z'
loop_
_atom_site_label
_atom_site_type_symbol
_atom_site_fract_x
_atom_site_fract_y
_atom_site_fract_z
Li1 Li 0.000 0.000 0.000
Li2 Li 0.002 0.016 0.453
Li3 Li 0.499 0.542 0.993
Li4 Li 0.513 0.576 0.436
Fe1 Fe 0.004 0.584 0.190
Te1 Te 0.004 0.585 0.690
Te2 Te 0.507 0.097 0.193
W1 W 0.505 0.096 0.694
O1 O 0.124 0.614 0.937
O2 O 0.192 0.272 0.617
O3 O 0.201 0.921 0.241
O4 O 0.330 0.794 0.620
O5 O 0.333 0.407 0.238
O6 O 0.374 0.099 0.933
O7 O 0.632 0.113 0.442
O8 O 0.665 0.418 0.749
O9 O 0.695 0.806 0.124
O10 O 0.797 0.284 0.118
O11 O 0.815 0.935 0.750
O12 O 0.887 0.625 0.442
```

## Properties
E_tot = -5.904 eV per atom
Energy of formation = -1.914 eV/atom

***

No. 7
First-principles (PBE with a Hubbard U) data for Li9Mn2Co5O16 after structural relaxation, as listed in the Materials Project database.

CIF file:
```
data_Li9Mn2Co5O16
_chemical_formula_sum 'Li9 Mn2 Co5 O16'
_cell_length_a 5.090
_cell_length_b 5.768
_cell_length_c 9.709
_cell_angle_alpha 90.00
_cell_angle_beta 98.87
_cell_angle_gamma 90.00
_space_group_name_H-M_alt 'P 1 2 1'
_space_group_IT_number 3
loop_
_space_group_symop_operation_xyz
'x,y,z'
'-x,y,-z'
loop_
_atom_site_label
_atom_site_type_symbol
_atom_site_fract_x
_atom_site_fract_y
_atom_site_fract_z
Li1 Li 0.000 0.000 0.000
Li2 Li 0.240 0.752 0.234
Li3 Li 0.247 0.000 0.767
Li4 Li 0.250 0.248 0.238
Li5 Li 0.262 0.503 0.762
Mn1 Mn 0.000 0.257 0.500
Mn2 Mn 0.500 0.002 0.500
Co1 Co 0.000 0.500 0.000
Co2 Co 0.000 0.750 0.500
Co3 Co 0.500 0.241 0.000
Co4 Co 0.500 0.498 0.500
Co5 Co 0.500 0.747 0.000
O1 O 0.123 0.271 0.885
O2 O 0.141 0.735 0.892
O3 O 0.144 0.007 0.389
O4 O 0.144 0.497 0.391
O5 O 0.370 0.750 0.607
O6 O 0.381 0.505 0.116
O7 O 0.392 0.248 0.614
O8 O 0.398 0.993 0.118
```

## Properties
E_tot = -5.820 eV per atom
Energy of formation = -1.830 eV/atom

***

No. 8
First-principles (PBE with a Hubbard U) data for Ba2LaFe3O9 after structural relaxation, as listed in the Materials Project database.

CIF file:
```
data_Ba2LaFe3O9
_chemical_formula_sum 'Ba2 La1 Fe3 O9'
_cell_length_a 5.6425
_cell_length_b 5.6425
_cell_length_c 6.8788
_cell_angle_alpha 90.00
_cell_angle_beta 90.00
_cell_angle_gamma 120.00
_space_group_name_H-M_alt 'P -3 m 1'
_space_group_IT_number 164
_space_group_name_Hall '-P 3 2"'
loop_
_atom_site_label
_atom_site_type_symbol
_atom_site_fract_x
_atom_site_fract_y
_atom_site_fract_z
Ba1 Ba 0.3333 0.6667 0.1647
La1 La 0.0000 0.0000 0.5000
Fe1 Fe 0.0000 0.0000 0.0000
Fe2 Fe 0.3333 0.6667 0.6664
O1 O 0.0000 0.5000 0.5000
O2 O 0.1614 0.3229 0.8209
```

## Properties
E_tot = -6.760 eV per atom
Energy of formation = -2.376 eV/atom

***

No. 9
First-principles (PBE with a Hubbard U) data for Li3Fe8B8O24 after structural relaxation, as listed in the Materials Project database.

CIF file:
```
data_Li3Fe8B8O24
_chemical_formula_sum 'Li3 Fe8 B8 O24'
_cell_length_a 5.297
_cell_length_b 9.076
_cell_length_c 10.187
_cell_angle_alpha 90.05
_cell_angle_beta 90.85
_cell_angle_gamma 90.07
_space_group_name_H-M_alt 'P 1'
_space_group_IT_number 1
loop_
_space_group_symop_operation_xyz
'x,y,z'
loop_
_atom_site_label
_atom_site_type_symbol
_atom_site_fract_x
_atom_site_fract_y
_atom_site_fract_z
Li1 Li 0.000 0.000 0.000
Li2 Li 0.001 0.976 0.491
Li3 Li 0.201 0.485 0.733
Fe1 Fe 0.014 0.640 0.451
Fe2 Fe 0.018 0.334 0.961
Fe3 Fe 0.200 0.143 0.714
Fe4 Fe 0.208 0.821 0.211
Fe5 Fe 0.511 0.159 0.459
Fe6 Fe 0.512 0.811 0.961
Fe7 Fe 0.687 0.314 0.199
Fe8 Fe 0.693 0.654 0.706
B1 B 0.016 0.309 0.456
B2 B 0.031 0.665 0.944
B3 B 0.181 0.160 0.207
B4 B 0.186 0.807 0.699
B5 B 0.509 0.141 0.961
B6 B 0.521 0.822 0.463
B7 B 0.698 0.646 0.203
B8 B 0.699 0.326 0.702
O1 O 0.049 0.286 0.170
O2 O 0.059 0.673 0.661
O3 O 0.081 0.938 0.678
O4 O 0.083 0.024 0.191
O5 O 0.118 0.445 0.476
O6 O 0.146 0.180 0.491
O7 O 0.146 0.794 0.992
O8 O 0.152 0.536 0.931
O9 O 0.255 0.148 0.924
O10 O 0.267 0.803 0.427
O11 O 0.424 0.788 0.757
O12 O 0.426 0.179 0.262
O13 O 0.567 0.204 0.652
O14 O 0.568 0.459 0.707
O15 O 0.570 0.767 0.151
O16 O 0.590 0.511 0.197
O17 O 0.633 0.957 0.459
O18 O 0.636 0.008 0.957
O19 O 0.640 0.265 0.005
O20 O 0.663 0.700 0.506
O21 O 0.774 0.294 0.403
O22 O 0.780 0.680 0.899
O23 O 0.934 0.669 0.264
O24 O 0.947 0.318 0.743
```

## Properties
E_tot = -7.161 eV per atom
Energy of formation = -2.251 eV/atom

***

No. 10
First-principles (PBE with a Hubbard U) data for Ca4TiMn3O10 after structural relaxation, as listed in the Materials Project database.

CIF file:
```
data_Ca4TiMn3O10
_chemical_formula_sum 'Ca16 Ti4 Mn12 O40'
_cell_length_a 5.594
_cell_length_b 11.045
_cell_length_c 15.632
_cell_angle_alpha 89.39
_cell_angle_beta 89.99
_cell_angle_gamma 87.75
_space_group_name_H-M_alt 'P 1'
_space_group_IT_number 1
loop_
_space_group_symop_operation_xyz
'x,y,z'
loop_
_atom_site_label
_atom_site_type_symbol
_atom_site_fract_x
_atom_site_fract_y
_atom_site_fract_z
Ca1 Ca 0.000 0.000 0.000
Ca2 Ca 0.003 0.009 0.498
Ca3 Ca 0.010 0.983 0.255
Ca4 Ca 0.438 0.220 0.743
Ca5 Ca 0.442 0.703 0.239
Ca6 Ca 0.447 0.242 0.503
Ca7 Ca 0.459 0.222 0.997
Ca8 Ca 0.476 0.191 0.260
Ca9 Ca 0.489 0.685 0.504
Ca10 Ca 0.506 0.687 0.002
Ca11 Ca 0.508 0.706 0.729
Ca12 Ca 0.907 0.438 0.004
Ca13 Ca 0.925 0.442 0.504
Ca14 Ca 0.948 0.419 0.736
Ca15 Ca 0.951 0.412 0.246
Ca16 Ca 0.973 0.974 0.752
Ti1 Ti 0.073 0.721 0.882
Ti2 Ti 0.412 0.451 0.870
Ti3 Ti 0.436 0.445 0.130
Ti4 Ti 0.933 0.700 0.145
Mn1 Mn 0.060 0.732 0.386
Mn2 Mn 0.433 0.461 0.368
Mn3 Mn 0.450 0.461 0.626
Mn4 Mn 0.453 0.961 0.869
Mn5 Mn 0.472 0.964 0.381
Mn6 Mn 0.494 0.963 0.629
Mn7 Mn 0.520 0.959 0.130
Mn8 Mn 0.945 0.692 0.607
Mn9 Mn 0.952 0.207 0.876
Mn10 Mn 0.960 0.215 0.375
Mn11 Mn 0.961 0.206 0.622
Mn12 Mn 0.985 0.201 0.123
O1 O 0.019 0.204 0.752
O2 O 0.054 0.202 0.247
O3 O 0.128 0.366 0.384
O4 O 0.142 0.377 0.894
O5 O 0.156 0.360 0.110
O6 O 0.167 0.351 0.610
O7 O 0.231 0.844 0.939
O8 O 0.239 0.658 0.113
O9 O 0.256 0.115 0.893
O10 O 0.258 0.117 0.396
O11 O 0.260 0.859 0.452
O12 O 0.265 0.096 0.601
O13 O 0.265 0.623 0.621
O14 O 0.291 0.087 0.090
O15 O 0.352 0.480 0.244
O16 O 0.361 0.629 0.865
O17 O 0.362 0.447 0.754
O18 O 0.374 0.913 0.744
O19 O 0.377 0.635 0.370
O20 O 0.411 0.918 0.253
O21 O 0.494 0.470 0.005
O22 O 0.505 0.458 0.489
O23 O 0.643 0.319 0.147
O24 O 0.658 0.327 0.862
O25 O 0.667 0.313 0.640
O26 O 0.668 0.321 0.344
O27 O 0.675 0.813 0.608
O28 O 0.733 0.813 0.090
O29 O 0.737 0.558 0.652
O30 O 0.743 0.568 0.152
O31 O 0.773 0.029 0.875
O32 O 0.779 0.053 0.366
O33 O 0.785 0.055 0.630
O34 O 0.811 0.056 0.137
O35 O 0.881 0.218 0.496
O36 O 0.882 0.215 0.001
O37 O 0.888 0.638 0.954
O38 O 0.894 0.653 0.481
O39 O 0.916 0.761 0.784
O40 O 0.963 0.756 0.255
```

## Properties
E_tot = -7.309 eV per atom
Energy of formation = -2.809 eV/atom